# 1
The following is a DFT calculation (PBE with a Hubbard U) of a relaxed MgWO4 crystal.

E_form	-2.439	eV per atom
total energy after the MP2020 corrections	-8.164	eV/atom
total magnetization	0.001	μB/cell

Cell lengths 5.0782, 5.3131, 5.6116 Å; angles 72.76, 90.00, 90.00 degrees
With the nearest neighbours (Å) after each atom.
Atoms (fractional coordinates):
1 Mg 0.3278 0.5000 0.7500  6 O 2.06-2.18
2 Mg 0.6722 0.5000 0.2500  6 O 2.06-2.18
3 W 0.8217 0.0000 0.7500  4 O 1.86-1.95
4 W 0.1783 0.0000 0.2500  4 O 1.86-1.95
5 O 0.4351 0.7462 0.3783  1 W 1.86, 1 Mg 2.06
6 O 0.5649 0.7462 0.8783  1 W 1.86, 1 Mg 2.06
7 O 0.5649 0.2538 0.6217  1 W 1.86, 1 Mg 2.06
8 O 0.9748 0.2255 0.3980  2 W 1.95-2.13, 1 Mg 2.11
9 O 0.0252 0.7745 0.6020  2 W 1.95-2.13, 1 Mg 2.11
10 O 0.9748 0.7745 0.1020  2 W 1.95-2.13, 1 Mg 2.11
11 O 0.4351 0.2538 0.1217  1 W 1.86, 1 Mg 2.06
12 O 0.0252 0.2255 0.8980  2 W 1.95-2.13, 1 Mg 2.11



# 2
The following is a DFT calculation (PBE with a Hubbard U) of a relaxed MgW2O5 crystal.

E_form	-2.026	eV per atom
total energy after the MP2020 corrections	-8.558	eV/atom
total magnetization	7.809	μB/cell
excess energy over the best structure of this formula in the dataset	0.0	meV per atom

Cell lengths 3.2226, 5.2347, 12.5446 Å; angles 84.77, 89.30, 89.44 degrees
With the nearest neighbours (Å) after each atom.
Atoms (fractional coordinates):
1 Mg 0.2282 0.0973 0.2236  4 O 2.03-2.24
2 Mg 0.7647 0.8956 0.7773  6 O 2.06-2.28
3 W 0.7423 0.5977 0.1040  2 O 1.94-2.14
4 W 0.2559 0.3981 0.8963  2 O 1.86-2.02
5 W 0.2606 0.4241 0.6122  6 O 1.96-2.09
6 W 0.7642 0.5847 0.3891  5 O 1.96-2.17
7 O 0.2518 0.6180 0.7425  2 W 2.00-2.15, 1 Mg 2.20
8 O 0.7330 0.3821 0.2574  2 W 2.05-2.14, 2 Mg 2.24-2.29
9 O 0.2500 0.3508 0.0582  3 W 2.02-2.18
10 O 0.7531 0.6572 0.9237  1 Mg 2.12, 3 W 2.15-2.25
11 O 0.2724 0.3479 0.4625  2 W 1.96-2.17
12 O 0.7601 0.6528 0.5562  3 W 2.09-2.16
13 O 0.2336 0.8108 0.3486  2 W 1.96-2.11, 1 Mg 2.07
14 O 0.7655 0.1979 0.6567  2 W 2.04-2.06, 1 Mg 2.09
15 O 0.2609 0.0847 0.8367  1 W 1.86, 2 Mg 2.06-2.07
16 O 0.7336 0.9315 0.1592  1 W 1.94, 2 Mg 2.03



# 3
The following is a DFT calculation (PBE with a Hubbard U) of a relaxed Mn2Mo2NO10 crystal.

E_form	-1.248	eV per atom
total energy after the MP2020 corrections	-7.770	eV/atom
total magnetization	8.998	μB/cell

Cell lengths 5.7904, 5.7904, 8.4496 Å; angles 68.62, 68.62, 61.76 degrees
With the nearest neighbours (Å) after each atom.
Atoms (fractional coordinates):
1 Mn 0.0000 0.5000 0.5000  6 O 1.86-2.06
2 Mn 0.5000 0.0000 0.5000  6 O 1.86-2.06
3 Mo 0.5732 0.5732 0.2404  4 O 1.72-1.92
4 Mo 0.4268 0.4268 0.7596  4 O 1.72-1.92
5 N 0.0000 0.0000 0.0000  6 O 2.80-3.07
6 O 0.1949 0.1949 0.4091  2 Mn 1.86
7 O 0.8051 0.8051 0.5909  2 Mn 1.86
8 O 0.2108 0.6935 0.2956  1 Mo 1.80
9 O 0.6935 0.2108 0.2956  1 Mo 1.80
10 O 0.7892 0.3065 0.7044  1 Mo 1.80
11 O 0.3065 0.7892 0.7044  1 Mo 1.80
12 O 0.6847 0.6847 0.0194  1 Mo 1.72
13 O 0.3153 0.3153 0.9806  1 Mo 1.72
14 O 0.6816 0.6816 0.3824  1 Mo 1.92, 2 Mn 2.06
15 O 0.3184 0.3184 0.6176  1 Mo 1.92, 2 Mn 2.06



# 4
The following is a DFT calculation (PBE with a Hubbard U) of a relaxed MnMoO4 crystal.

E_form	-2.062	eV per atom
total energy after the MP2020 corrections	-8.696	eV/atom

Cell lengths 4.8640, 5.0577, 5.8540 Å; angles 90.00, 90.00, 90.97 degrees
With the nearest neighbours (Å) after each atom.
Atoms (fractional coordinates):
1 Mn 0.0000 0.7500 0.8172  6 O 2.12-2.30
2 Mn 0.0000 0.2500 0.1828  6 O 2.12-2.30
3 Mo 0.5000 0.7500 0.3192  4 O 1.82-1.93
4 Mo 0.5000 0.2500 0.6808  4 O 1.82-1.93
5 O 0.7119 0.4425 0.3956  1 Mo 1.93, 1 Mn 2.12
6 O 0.2881 0.0575 0.3956  1 Mo 1.93, 1 Mn 2.12
7 O 0.2880 0.5575 0.6044  1 Mo 1.93, 1 Mn 2.12
8 O 0.7120 0.9425 0.6044  1 Mo 1.93, 1 Mn 2.12
9 O 0.7526 0.3955 0.8737  1 Mo 1.82
10 O 0.2474 0.1045 0.8737  1 Mo 1.82
11 O 0.2474 0.6045 0.1263  1 Mo 1.82
12 O 0.7526 0.8955 0.1263  1 Mo 1.82